Computed, not measured: a relaxed structure of NaYZrP2SO12 at the PBE-GGA level of DFT.

Calculated values
energy of formation from the pure elements	-2.958	eV/atom
DFT total energy	-814.1	eV per cell
spin magnetization	0.0	μB per formula unit

a b c (Å): 9.0297 9.0462 23.8760
angles (deg): 89.63 90.00 119.94
Sites, in units of the cell vectors:
Y (0.9937, 0.0050, 0.6477)
Zr (0.6687, 0.3368, 0.1854)
Y (0.3270, 0.6716, 0.3143)
O (0.4983, 0.6395, 0.5761)
O (0.0211, 0.8071, 0.6994)
P (0.7101, 0.0063, 0.7500)
Y (0.3446, 0.6716, 0.8143)
O (0.2045, 0.0153, 0.5902)
O (0.5303, 0.8525, 0.7557)
P (0.2962, 0.0063, 0.2500)
P (0.2938, 0.2902, 0.7493)
O (0.3137, 0.4668, 0.7563)
Zr (0.3347, 0.6701, 0.0188)
O (0.4900, 0.3599, 0.1359)
O (0.8385, 0.5346, 0.7445)
O (0.1896, 0.2061, 0.6976)
O (0.3628, 0.8680, 0.5778)
O (0.9889, 0.1859, 0.5890)
O (0.5366, 0.6933, 0.9693)
Zr (0.3354, 0.6701, 0.5188)
O (0.7860, 0.8071, 0.1994)
O (0.4830, 0.1218, 0.6339)
O (0.4748, 0.1711, 0.2426)
O (0.2033, 0.0266, 0.3026)
O (0.9803, 0.8001, 0.0896)
O (0.5378, 0.6820, 0.2569)
O (0.1567, 0.6933, 0.4693)
O (0.1412, 0.6395, 0.0761)
O (0.1441, 0.6820, 0.7569)
P (0.3767, 0.3396, 0.0834)
O (0.2034, 0.1758, 0.8026)
O (0.1194, 0.4738, 0.8661)
O (0.6390, 0.5091, 0.6359)
O (0.1718, 0.2013, 0.4112)
P (0.6272, 0.9569, 0.4160)
S (0.0432, 0.3731, 0.9167)
Na (0.6718, 0.3266, 0.3344)
O (0.0295, 0.2013, 0.9112)
P (0.6295, 0.6729, 0.9167)
O (0.5218, 0.6448, 0.8650)
Y (0.6604, 0.3383, 0.9810)
O (0.4527, 0.1405, 0.5328)
O (0.9724, 0.1758, 0.3026)
O (0.4775, 0.3486, 0.4236)
O (0.7896, 0.9781, 0.6983)
O (0.5368, 0.8425, 0.4692)
O (0.1531, 0.4668, 0.2563)
Y (0.0113, 0.0050, 0.1477)
Na (0.6548, 0.3266, 0.8344)
O (0.8636, 0.5192, 0.4223)
S (0.6632, 0.0397, 0.0834)
O (0.8079, 0.9729, 0.4094)
O (0.4563, 0.3114, 0.0316)
Na (0.3384, 0.6599, 0.6677)
O (0.1229, 0.6448, 0.3650)
Zr (0.6680, 0.3368, 0.6854)
S (0.9965, 0.7064, 0.7500)
O (0.8701, 0.5091, 0.1359)
O (0.8108, 0.0153, 0.0902)
S (0.3766, 0.0397, 0.5834)
Zr (0.0014, 0.0034, 0.3521)
O (0.6961, 0.5346, 0.2445)
O (0.0296, 0.8377, 0.4093)
O (0.1415, 0.5044, 0.5760)
O (0.8552, 0.3114, 0.5316)
O (0.8712, 0.3486, 0.9236)
Na (0.3215, 0.6599, 0.1677)
P (0.0434, 0.6729, 0.4167)
S (0.7099, 0.7064, 0.2500)
O (0.9722, 0.7885, 0.8006)
O (0.6556, 0.5192, 0.9223)
O (0.3057, 0.8425, 0.9692)
Y (0.6779, 0.3383, 0.4810)
Zr (0.0021, 0.0034, 0.8521)
O (0.6832, 0.5394, 0.5309)
O (0.3055, 0.4551, 0.4672)
P (0.3297, 0.9569, 0.9160)
O (0.8563, 0.5394, 0.0309)
O (0.8163, 0.7885, 0.3006)
O (0.8233, 0.0266, 0.8026)
O (0.3630, 0.5044, 0.0760)
O (0.1969, 0.1859, 0.0890)
O (0.8699, 0.3599, 0.6359)
O (0.3498, 0.8728, 0.8642)
O (0.6388, 0.1218, 0.1339)
P (0.9605, 0.6236, 0.0827)
P (0.6631, 0.6236, 0.5827)
Na (0.0051, 0.9933, 0.0011)
O (0.1496, 0.4551, 0.9672)
O (0.6963, 0.1711, 0.7426)
O (0.6470, 0.1335, 0.4230)
O (0.0165, 0.2061, 0.1976)
O (0.1885, 0.9781, 0.1983)
P (0.9964, 0.2902, 0.2493)
P (0.9629, 0.3396, 0.5834)
O (0.3223, 0.8525, 0.2557)
O (0.5052, 0.8680, 0.0778)
O (0.4746, 0.3062, 0.7428)
O (0.1650, 0.9729, 0.9094)
O (0.8198, 0.8001, 0.5896)
Na (0.9881, 0.9933, 0.5011)
O (0.6878, 0.1405, 0.0328)
S (0.3298, 0.3731, 0.4167)
O (0.5229, 0.8728, 0.3642)
O (0.4865, 0.1335, 0.9230)
O (0.8317, 0.3062, 0.2428)
O (0.8081, 0.8377, 0.9093)
O (0.3545, 0.4738, 0.3661)

=====

Computed, not measured: a relaxed structure of Na3Zn2PS2O12 at the PBE-GGA level of DFT.

Calculated values
space-group type	Cc (9)
energy of formation from the pure elements	-2.154	eV/atom
DFT total energy	-686.3	eV per cell
spin magnetization	0.0	μB per formula unit

a b c (Å): 8.9799 8.9724 22.1222
angles (deg): 89.78 90.00 120.03
Sites, in units of the cell vectors:
O (0.8156, 0.9807, 0.4102)
P (0.3013, 0.0025, 0.2509)
Na (0.3379, 0.0313, 0.4114)
O (0.5369, 0.6837, 0.9686)
O (0.6929, 0.5329, 0.2450)
O (0.6942, 0.1409, 0.0285)
O (0.8585, 0.5141, 0.4207)
O (0.3005, 0.8573, 0.9740)
Na (0.6591, 0.3208, 0.3333)
O (0.1468, 0.6837, 0.4686)
P (0.6391, 0.9724, 0.4169)
Zn (0.6792, 0.3361, 0.4867)
Na (0.9867, 0.9924, 0.4999)
Zn (0.9994, 0.9798, 0.1525)
O (0.1343, 0.4433, 0.9743)
O (0.0114, 0.1917, 0.9127)
O (0.2138, 0.1868, 0.8011)
S (0.3671, 0.3360, 0.0832)
Na (0.3084, 0.3389, 0.5849)
O (0.8049, 0.7796, 0.3074)
O (0.8655, 0.3560, 0.9190)
O (0.0340, 0.8167, 0.6986)
O (0.5319, 0.6425, 0.8588)
O (0.4731, 0.3176, 0.7457)
O (0.1954, 0.0247, 0.5896)
O (0.4747, 0.1148, 0.6381)
O (0.4905, 0.3560, 0.4190)
P (0.9606, 0.6274, 0.0828)
O (0.6468, 0.1489, 0.4234)
O (0.2160, 0.0210, 0.3090)
O (0.5567, 0.8573, 0.4740)
Na (0.6977, 0.6712, 0.4219)
Zn (0.6564, 0.3357, 0.1800)
O (0.3662, 0.8911, 0.8599)
Na (0.0078, 0.6406, 0.2455)
O (0.6401, 0.1148, 0.1381)
Zn (0.0052, 0.0118, 0.3467)
S (0.9689, 0.3360, 0.5832)
Zn (0.6793, 0.3357, 0.6800)
O (0.0234, 0.8245, 0.4140)
O (0.8583, 0.3034, 0.5296)
Zn (0.9805, 0.9798, 0.6525)
O (0.1997, 0.2193, 0.6915)
Na (0.6934, 0.0313, 0.9114)
O (0.9746, 0.7796, 0.8074)
O (0.7827, 0.8167, 0.1986)
O (0.1558, 0.4734, 0.2538)
Na (0.9734, 0.6712, 0.9219)
O (0.1432, 0.4903, 0.5770)
Na (0.6662, 0.9592, 0.5833)
P (0.6669, 0.6274, 0.5828)
Na (0.6292, 0.0008, 0.2531)
O (0.5181, 0.8343, 0.7540)
O (0.4451, 0.3034, 0.0296)
O (0.4669, 0.3574, 0.1386)
Zn (0.3454, 0.6703, 0.5128)
O (0.3163, 0.8343, 0.2540)
O (0.9897, 0.1796, 0.5875)
Na (0.0306, 0.3389, 0.0849)
O (0.0195, 0.2193, 0.1915)
O (0.4869, 0.1596, 0.2455)
Zn (0.3377, 0.6792, 0.3210)
P (0.3333, 0.9724, 0.9169)
O (0.8293, 0.0247, 0.0896)
O (0.9730, 0.1868, 0.3011)
O (0.6829, 0.5419, 0.5245)
O (0.1899, 0.1796, 0.0875)
P (0.7012, 0.0025, 0.7509)
Na (0.6329, 0.6406, 0.7455)
O (0.8760, 0.5171, 0.1402)
Na (0.3716, 0.0008, 0.7531)
O (0.1555, 0.6827, 0.7562)
O (0.5249, 0.8911, 0.3599)
S (0.0021, 0.2985, 0.2479)
O (0.1301, 0.4805, 0.8645)
O (0.3477, 0.8609, 0.5787)
O (0.3176, 0.4734, 0.7538)
O (0.1913, 0.9736, 0.1935)
Zn (0.3250, 0.6703, 0.0128)
O (0.1652, 0.9807, 0.9102)
S (0.2964, 0.2985, 0.7479)
Na (0.0057, 0.9924, 0.9999)
S (0.7014, 0.7021, 0.2517)
O (0.6727, 0.1596, 0.7455)
O (0.8904, 0.3574, 0.6387)
O (0.5021, 0.1489, 0.9234)
Zn (0.6569, 0.3361, 0.9867)
O (0.8050, 0.0210, 0.8090)
O (0.6411, 0.5171, 0.6402)
O (0.8400, 0.5329, 0.7450)
S (0.6270, 0.6637, 0.9162)
Na (0.3205, 0.6597, 0.6668)
O (0.1106, 0.6425, 0.3588)
O (0.8011, 0.8245, 0.9140)
S (0.0395, 0.3697, 0.9170)
O (0.4467, 0.1409, 0.5285)
O (0.5132, 0.8609, 0.0787)
Na (0.2930, 0.9592, 0.0833)
S (0.0007, 0.7021, 0.7517)
O (0.6555, 0.5141, 0.9207)
O (0.8590, 0.5419, 0.0245)
Zn (0.0066, 0.0118, 0.8467)
O (0.3472, 0.4903, 0.0770)
O (0.9885, 0.8132, 0.0860)
Zn (0.3415, 0.6792, 0.8210)
S (0.3302, 0.3697, 0.4170)
O (0.5000, 0.6444, 0.5806)
S (0.3653, 0.0344, 0.5836)
Na (0.6616, 0.3208, 0.8333)
O (0.8247, 0.8132, 0.5860)
O (0.7823, 0.9736, 0.6935)
O (0.3090, 0.4433, 0.4743)
O (0.1445, 0.6444, 0.0806)
Na (0.3392, 0.6597, 0.1668)
O (0.3504, 0.4805, 0.3645)
O (0.5273, 0.6827, 0.2562)
S (0.6691, 0.0344, 0.0836)
O (0.1803, 0.1917, 0.4127)
O (0.8445, 0.3176, 0.2457)
S (0.0367, 0.6637, 0.4162)

=====

Computed, not measured: a relaxed structure of Na4Zn2P2SO12 at the PBE-GGA level of DFT.

Calculated values
energy of formation from the pure elements	-2.316	eV/atom
DFT total energy	-735.2	eV per cell
spin magnetization	0.0	μB per formula unit

a b c (Å): 9.1240 9.0813 22.0005
angles (deg): 89.67 90.00 120.16
Sites, in units of the cell vectors:
O (0.4775, 0.3174, 0.7459)
O (0.1861, 0.1739, 0.0876)
O (0.1732, 0.9841, 0.9126)
P (0.7011, 0.0011, 0.7504)
O (0.9688, 0.1845, 0.3074)
Na (0.9663, 0.6730, 0.9209)
Na (0.3587, 0.3580, 0.2471)
O (0.1975, 0.0173, 0.5881)
O (0.8453, 0.5313, 0.7458)
Na (0.3327, 0.0247, 0.4138)
O (0.4792, 0.1647, 0.2449)
O (0.8198, 0.0173, 0.0881)
O (0.5214, 0.6326, 0.8601)
O (0.8548, 0.2992, 0.5268)
P (0.6333, 0.6678, 0.9171)
O (0.3083, 0.4488, 0.4715)
Zn (0.6567, 0.3436, 0.9874)
O (0.6417, 0.1154, 0.1382)
Na (0.9876, 0.9928, 0.5000)
O (0.0273, 0.8103, 0.6947)
Na (0.3396, 0.2974, 0.9151)
Na (0.6718, 0.3261, 0.3333)
O (0.1459, 0.4981, 0.5782)
O (0.6355, 0.5178, 0.6407)
O (0.3522, 0.4981, 0.0782)
O (0.8071, 0.7821, 0.3049)
O (0.1890, 0.2138, 0.6924)
Zn (0.6673, 0.3344, 0.1790)
O (0.5516, 0.6966, 0.9741)
O (0.3607, 0.4770, 0.3614)
O (0.6431, 0.1417, 0.4210)
Zn (0.6672, 0.3344, 0.6790)
O (0.8642, 0.3507, 0.9215)
O (0.1163, 0.4770, 0.8614)
O (0.1787, 0.1980, 0.4125)
O (0.5309, 0.6840, 0.2548)
O (0.4445, 0.2992, 0.0268)
Na (0.6660, 0.6914, 0.0805)
Zn (0.0005, 0.0011, 0.3457)
O (0.8399, 0.3174, 0.2459)
P (0.3330, 0.9631, 0.9167)
Na (0.0401, 0.3397, 0.0876)
Zn (0.3340, 0.6678, 0.5123)
P (0.9667, 0.3345, 0.5837)
O (0.6940, 0.1436, 0.0280)
Na (0.6729, 0.9641, 0.5817)
O (0.4985, 0.1417, 0.9210)
S (0.3346, 0.3706, 0.4165)
O (0.9878, 0.1739, 0.5876)
O (0.8109, 0.9841, 0.4126)
P (0.3000, 0.0011, 0.2504)
Na (0.3385, 0.6594, 0.6666)
O (0.0189, 0.8314, 0.4115)
O (0.2183, 0.0299, 0.3074)
P (0.9997, 0.2964, 0.2500)
P (0.9634, 0.6298, 0.0834)
Na (0.6543, 0.3261, 0.8333)
O (0.3526, 0.8646, 0.5792)
O (0.3098, 0.4750, 0.7544)
O (0.9750, 0.7821, 0.8049)
O (0.1652, 0.4750, 0.2544)
Na (0.9578, 0.2974, 0.4151)
S (0.6679, 0.0372, 0.0831)
S (0.0360, 0.3706, 0.9165)
O (0.4865, 0.3507, 0.4215)
O (0.3581, 0.8804, 0.8591)
O (0.5490, 0.8511, 0.4740)
Na (0.9994, 0.3580, 0.7471)
S (0.0012, 0.7039, 0.7498)
O (0.8125, 0.8314, 0.9115)
Zn (0.9900, 0.0102, 0.6541)
O (0.7778, 0.9659, 0.6935)
Na (0.6245, 0.6307, 0.7484)
O (0.0193, 0.1980, 0.9125)
S (0.7027, 0.7039, 0.2498)
Zn (0.3535, 0.6769, 0.8208)
O (0.4738, 0.1154, 0.6382)
Na (0.7067, 0.6730, 0.4209)
Na (0.2911, 0.9641, 0.0817)
O (0.5224, 0.8804, 0.3591)
Zn (0.3234, 0.6769, 0.3208)
Zn (0.3338, 0.6678, 0.0123)
O (0.1442, 0.6507, 0.0792)
O (0.6545, 0.5072, 0.9209)
Zn (0.0202, 0.0102, 0.1541)
O (0.3022, 0.8511, 0.9740)
O (0.8823, 0.5178, 0.1407)
P (0.0344, 0.6678, 0.4171)
O (0.4496, 0.1436, 0.5280)
O (0.1111, 0.6326, 0.3601)
O (0.1450, 0.6966, 0.4741)
P (0.6663, 0.6298, 0.5834)
O (0.4783, 0.3632, 0.1407)
O (0.5120, 0.8646, 0.0792)
Na (0.2996, 0.3397, 0.5876)
Na (0.0063, 0.6307, 0.2484)
O (0.3211, 0.8405, 0.2543)
O (0.8527, 0.5072, 0.4209)
O (0.8319, 0.8083, 0.5877)
Na (0.6330, 0.0064, 0.2542)
O (0.8849, 0.3632, 0.6407)
O (0.9765, 0.8083, 0.0877)
P (0.3678, 0.3345, 0.0837)
Na (0.0253, 0.6914, 0.5805)
O (0.6855, 0.1647, 0.7449)
O (0.5065, 0.6507, 0.5792)
O (0.2156, 0.1845, 0.8074)
Zn (0.0006, 0.0011, 0.8457)
S (0.3693, 0.0372, 0.5831)
Na (0.6920, 0.0247, 0.9138)
P (0.6301, 0.9631, 0.4167)
O (0.1532, 0.6840, 0.7548)
Zn (0.6869, 0.3436, 0.4874)
O (0.1881, 0.9659, 0.1935)
O (0.0247, 0.2138, 0.1924)
O (0.7830, 0.8103, 0.1947)
O (0.1404, 0.4488, 0.9715)
O (0.6860, 0.5313, 0.2458)
Na (0.3734, 0.0064, 0.7542)
Na (0.3210, 0.6594, 0.1666)
O (0.8557, 0.5471, 0.0258)
O (0.6914, 0.5471, 0.5258)
Na (0.0051, 0.9928, 0.0000)
O (0.8116, 0.0299, 0.8074)
P (0.2967, 0.2964, 0.7500)
O (0.5194, 0.8405, 0.7543)

=====

Question: Among the records above, which one has the lowest DFT total energy?
Answer: NaYZrP2SO12

=====

Question: What is the formula in the first record?
Answer: NaYZrP2SO12